(1)
{
  "formula": "SrV3O7",
  "functional": "PBE with a Hubbard U",
  "state": "optimized geometry",
  "crystal_system": "orthorhombic",
  "space_group": "Pnma",
  "lattice_angstrom": [[-5.364, -0.353, -0.094], [0.709, -10.503, -1.070], [-0.123, -1.162, 11.329]],
  "species": ["O", "O", "O", "O", "O", "O", "O", "O", "O", "O", "O", "O", "O", "O", "O", "O", "O", "O", "O", "O", "O", "O", "O", "O", "O", "O", "O", "O", "V", "V", "V", "V", "V", "V", "V", "V", "V", "V", "V", "V", "Sr", "Sr", "Sr", "Sr"],
  "frac_coords": [[0.256, 0.750, 0.934], [0.009, 0.619, 0.226], [0.246, 0.439, 0.051], [0.509, 0.119, 0.274], [0.518, 0.119, 0.774], [0.754, 0.939, 0.949], [0.009, 0.881, 0.226], [0.746, 0.939, 0.449], [0.254, 0.439, 0.551], [0.244, 0.750, 0.434], [0.518, 0.381, 0.774], [0.744, 0.250, 0.066], [0.754, 0.561, 0.949], [0.746, 0.561, 0.449], [0.982, 0.381, 0.274], [0.491, 0.881, 0.726], [0.482, 0.619, 0.226], [0.991, 0.119, 0.774], [0.509, 0.381, 0.274], [0.982, 0.119, 0.274], [0.991, 0.381, 0.774], [0.246, 0.061, 0.051], [0.018, 0.881, 0.726], [0.756, 0.250, 0.566], [0.018, 0.619, 0.726], [0.491, 0.619, 0.726], [0.482, 0.881, 0.226], [0.254, 0.061, 0.551], [0.255, 0.480, 0.691], [0.745, 0.980, 0.309], [0.245, 0.750, 0.288], [0.245, 0.020, 0.191], [0.745, 0.250, 0.212], [0.255, 0.750, 0.788], [0.755, 0.250, 0.712], [0.245, 0.480, 0.191], [0.755, 0.980, 0.809], [0.755, 0.520, 0.809], [0.745, 0.520, 0.309], [0.255, 0.020, 0.691], [0.244, 0.250, 0.427], [0.256, 0.250, 0.927], [0.756, 0.750, 0.573], [0.744, 0.750, 0.073]]
}

(2)
{
  "formula": "MgCo6O9F3",
  "functional": "PBE with a Hubbard U",
  "state": "optimized geometry",
  "crystal_system": "triclinic",
  "space_group": "P1",
  "lattice_angstrom": [[2.682, -3.767, 4.890], [1.952, -4.901, -2.412], [5.555, 1.525, 0.035]],
  "species": ["O", "O", "O", "O", "O", "O", "O", "O", "O", "Co", "Co", "Co", "Co", "Co", "Co", "F", "F", "F", "Mg"],
  "frac_coords": [[0.346, 0.009, 0.361], [0.689, 0.150, 0.073], [0.957, 0.194, 0.269], [0.968, 0.626, 0.369], [0.038, 0.809, 0.735], [0.699, 0.695, 0.990], [0.609, 0.539, 0.629], [0.301, 0.863, 0.923], [0.378, 0.477, 0.370], [0.498, 0.996, 0.014], [0.158, 0.320, 0.361], [0.840, 0.667, 0.674], [0.330, 0.761, 0.575], [0.996, 0.018, 0.988], [0.667, 0.288, 0.404], [0.299, 0.323, 0.982], [0.640, 0.024, 0.628], [0.017, 0.306, 0.722], [0.491, 0.509, 0.995]]
}

(3)
{
  "formula": "LiCr2P3O12",
  "functional": "PBE with a Hubbard U",
  "state": "optimized geometry",
  "crystal_system": "triclinic",
  "space_group": "P1",
  "lattice_angstrom": [[9.734, 0.000, 0.000], [0.792, 9.710, 0.000], [0.872, 0.772, 9.730]],
  "species": ["O", "O", "O", "O", "O", "O", "O", "O", "O", "O", "O", "O", "O", "O", "O", "O", "O", "O", "O", "O", "O", "O", "O", "O", "O", "O", "O", "O", "O", "O", "O", "O", "O", "O", "O", "O", "O", "O", "O", "O", "O", "O", "O", "O", "O", "O", "O", "O", "Li", "Li", "Li", "Li", "Cr", "Cr", "Cr", "Cr", "Cr", "Cr", "Cr", "Cr", "P", "P", "P", "P", "P", "P", "P", "P", "P", "P", "P", "P"],
  "frac_coords": [[0.417, 0.066, 0.311], [0.897, 0.065, 0.588], [0.822, 0.677, 0.322], [0.927, 0.570, 0.822], [0.615, 0.079, 0.119], [0.170, 0.626, 0.887], [0.907, 0.356, 0.689], [0.188, 0.828, 0.693], [0.822, 0.341, 0.378], [0.670, 0.137, 0.377], [0.123, 0.585, 0.614], [0.383, 0.198, 0.086], [0.413, 0.933, 0.098], [0.878, 0.922, 0.387], [0.321, 0.568, 0.425], [0.114, 0.371, 0.828], [0.313, 0.640, 0.090], [0.909, 0.800, 0.620], [0.171, 0.429, 0.080], [0.552, 0.370, 0.402], [0.047, 0.654, 0.122], [0.186, 0.167, 0.590], [0.422, 0.834, 0.798], [0.452, 0.136, 0.589], [0.082, 0.177, 0.291], [0.078, 0.939, 0.193], [0.105, 0.716, 0.384], [0.622, 0.865, 0.331], [0.574, 0.429, 0.680], [0.331, 0.367, 0.618], [0.965, 0.851, 0.886], [0.600, 0.635, 0.459], [0.115, 0.146, 0.032], [0.401, 0.865, 0.538], [0.381, 0.633, 0.667], [0.385, 0.417, 0.877], [0.683, 0.927, 0.583], [0.883, 0.346, 0.954], [0.883, 0.129, 0.163], [0.590, 0.562, 0.890], [0.605, 0.658, 0.193], [0.310, 0.168, 0.808], [0.099, 0.451, 0.408], [0.700, 0.841, 0.915], [0.836, 0.871, 0.117], [0.617, 0.294, 0.900], [0.677, 0.323, 0.176], [0.815, 0.066, 0.924], [0.988, 0.241, 0.529], [0.026, 0.379, 0.261], [0.487, 0.737, 0.034], [0.620, 0.814, 0.758], [0.477, 0.500, 0.524], [0.749, 0.224, 0.022], [0.251, 0.500, 0.749], [0.527, 0.002, 0.467], [0.978, 0.779, 0.251], [0.029, 0.725, 0.750], [0.751, 0.001, 0.249], [0.249, 0.275, 0.967], [0.951, 0.409, 0.816], [0.452, 0.064, 0.153], [0.548, 0.431, 0.841], [0.826, 0.904, 0.955], [0.159, 0.576, 0.452], [0.660, 0.702, 0.319], [0.048, 0.099, 0.175], [0.315, 0.204, 0.650], [0.843, 0.936, 0.549], [0.349, 0.798, 0.678], [0.183, 0.589, 0.049], [0.687, 0.299, 0.337]]
}

(4)
{
  "formula": "V9O22",
  "functional": "PBE with a Hubbard U",
  "state": "optimized geometry",
  "crystal_system": "monoclinic",
  "space_group": "P2_1",
  "lattice_angstrom": [[-2.992, 1.091, -9.226], [-4.816, -2.447, 1.273], [-5.941, 12.409, 3.393]],
  "species": ["O", "O", "O", "O", "O", "O", "O", "O", "O", "O", "O", "O", "O", "O", "O", "O", "O", "O", "O", "O", "O", "O", "O", "O", "O", "O", "O", "O", "O", "O", "O", "O", "O", "O", "O", "O", "O", "O", "O", "O", "O", "O", "O", "O", "V", "V", "V", "V", "V", "V", "V", "V", "V", "V", "V", "V", "V", "V", "V", "V", "V", "V"],
  "frac_coords": [[0.849, 0.252, 0.001], [0.415, 0.982, 0.503], [0.181, 0.764, 0.845], [0.583, 0.504, 0.347], [0.166, 0.752, 0.187], [0.583, 0.515, 0.002], [0.335, 0.767, 0.674], [0.835, 0.233, 0.326], [0.349, 0.748, 0.999], [0.431, 0.997, 0.832], [0.561, 0.004, 0.665], [0.915, 0.489, 0.496], [0.092, 0.009, 0.667], [0.584, 0.985, 0.001], [0.908, 0.486, 0.830], [0.831, 0.766, 0.308], [0.075, 0.497, 0.324], [0.345, 0.729, 0.335], [0.936, 0.504, 0.161], [0.666, 0.248, 0.813], [0.415, 0.511, 0.504], [0.823, 0.744, 0.652], [0.331, 0.234, 0.692], [0.436, 0.496, 0.839], [0.323, 0.256, 0.348], [0.412, 0.002, 0.155], [0.915, 0.018, 0.497], [0.592, 0.991, 0.333], [0.575, 0.503, 0.676], [0.652, 0.777, 0.169], [0.083, 0.496, 0.653], [0.912, 0.998, 0.845], [0.845, 0.271, 0.665], [0.084, 0.015, 0.999], [0.665, 0.730, 0.832], [0.648, 0.753, 0.504], [0.931, 0.003, 0.168], [0.165, 0.270, 0.168], [0.152, 0.223, 0.831], [0.061, 0.996, 0.335], [0.083, 0.485, 0.998], [0.681, 0.236, 0.155], [0.408, 0.514, 0.170], [0.148, 0.247, 0.496], [0.725, 0.982, 0.255], [0.174, 0.751, 0.965], [0.003, 0.284, 0.603], [0.983, 0.231, 0.387], [0.508, 0.249, 0.760], [0.519, 0.731, 0.894], [0.674, 0.249, 0.035], [0.275, 0.498, 0.252], [0.225, 0.018, 0.745], [0.503, 0.716, 0.397], [0.325, 0.248, 0.469], [0.489, 0.783, 0.107], [0.775, 0.502, 0.748], [0.483, 0.769, 0.613], [0.019, 0.269, 0.106], [0.825, 0.752, 0.531], [0.008, 0.751, 0.240], [0.989, 0.217, 0.893]]
}

(5)
{
  "formula": "Na2WO2F4",
  "functional": "PBE with a Hubbard U",
  "state": "optimized geometry",
  "crystal_system": "orthorhombic",
  "space_group": "Pbcn",
  "lattice_angstrom": [[-4.590, 0.100, 2.307], [2.344, -1.665, 4.736], [2.839, 17.844, 4.870]],
  "species": ["Na", "Na", "Na", "Na", "Na", "Na", "Na", "Na", "F", "F", "F", "F", "F", "F", "F", "F", "F", "F", "F", "F", "F", "F", "F", "F", "W", "W", "W", "W", "O", "O", "O", "O", "O", "O", "O", "O"],
  "frac_coords": [[0.500, 0.750, 0.949], [0.000, 0.750, 0.771], [0.000, 0.750, 0.449], [0.500, 0.250, 0.729], [0.500, 0.250, 0.051], [0.000, 0.250, 0.551], [0.000, 0.250, 0.229], [0.500, 0.750, 0.271], [0.710, 0.459, 0.626], [0.290, 0.041, 0.626], [0.790, 0.959, 0.874], [0.210, 0.041, 0.126], [0.698, 0.894, 0.694], [0.290, 0.541, 0.374], [0.790, 0.459, 0.126], [0.210, 0.541, 0.874], [0.802, 0.894, 0.194], [0.802, 0.394, 0.806], [0.302, 0.106, 0.306], [0.710, 0.959, 0.374], [0.698, 0.394, 0.306], [0.198, 0.106, 0.806], [0.302, 0.606, 0.694], [0.198, 0.606, 0.194], [0.000, 0.750, 0.107], [0.000, 0.250, 0.893], [0.500, 0.750, 0.607], [0.500, 0.250, 0.393], [0.228, 0.115, 0.952], [0.772, 0.385, 0.952], [0.272, 0.615, 0.548], [0.272, 0.115, 0.452], [0.772, 0.885, 0.048], [0.728, 0.885, 0.548], [0.228, 0.615, 0.048], [0.728, 0.385, 0.452]]
}

(6)
{
  "formula": "VS2O8",
  "functional": "PBE with a Hubbard U",
  "state": "optimized geometry",
  "crystal_system": "orthorhombic",
  "space_group": "Pbca",
  "lattice_angstrom": [[8.950, 0.000, 0.000], [0.000, 9.082, 0.000], [0.000, 0.000, 13.320]],
  "species": ["O", "O", "O", "O", "O", "O", "O", "O", "O", "O", "O", "O", "O", "O", "O", "O", "O", "O", "O", "O", "O", "O", "O", "O", "O", "O", "O", "O", "O", "O", "O", "O", "O", "O", "O", "O", "O", "O", "O", "O", "O", "O", "O", "O", "O", "O", "O", "O", "O", "O", "O", "O", "O", "O", "O", "O", "O", "O", "O", "O", "O", "O", "O", "O", "S", "S", "S", "S", "S", "S", "S", "S", "S", "S", "S", "S", "S", "S", "S", "S", "V", "V", "V", "V", "V", "V", "V", "V"],
  "frac_coords": [[0.491, 0.481, 0.642], [0.766, 0.743, 0.402], [0.197, 0.005, 0.972], [0.507, 0.770, 0.216], [0.235, 0.086, 0.280], [0.234, 0.757, 0.902], [0.265, 0.586, 0.720], [0.776, 0.690, 0.083], [0.735, 0.414, 0.280], [0.007, 0.730, 0.216], [0.266, 0.257, 0.098], [0.509, 0.519, 0.358], [0.527, 0.477, 0.175], [0.724, 0.690, 0.583], [0.491, 0.981, 0.858], [0.224, 0.810, 0.583], [0.493, 0.230, 0.784], [0.235, 0.586, 0.220], [0.734, 0.243, 0.598], [0.991, 0.519, 0.858], [0.265, 0.086, 0.780], [0.303, 0.005, 0.472], [0.009, 0.981, 0.358], [0.028, 0.306, 0.483], [0.028, 0.806, 0.017], [0.303, 0.505, 0.028], [0.224, 0.310, 0.917], [0.276, 0.810, 0.083], [0.972, 0.194, 0.983], [0.266, 0.757, 0.402], [0.972, 0.694, 0.517], [0.735, 0.914, 0.220], [0.493, 0.730, 0.716], [0.276, 0.310, 0.417], [0.007, 0.230, 0.284], [0.765, 0.414, 0.780], [0.724, 0.190, 0.917], [0.027, 0.023, 0.175], [0.528, 0.194, 0.483], [0.197, 0.505, 0.528], [0.472, 0.306, 0.983], [0.993, 0.270, 0.784], [0.473, 0.523, 0.825], [0.973, 0.477, 0.675], [0.803, 0.495, 0.472], [0.009, 0.481, 0.142], [0.527, 0.977, 0.325], [0.473, 0.023, 0.675], [0.472, 0.806, 0.517], [0.993, 0.770, 0.716], [0.765, 0.914, 0.720], [0.991, 0.019, 0.642], [0.973, 0.977, 0.825], [0.027, 0.523, 0.325], [0.776, 0.190, 0.417], [0.509, 0.019, 0.142], [0.528, 0.694, 0.017], [0.766, 0.243, 0.098], [0.803, 0.995, 0.028], [0.234, 0.257, 0.598], [0.507, 0.270, 0.284], [0.697, 0.995, 0.528], [0.697, 0.495, 0.972], [0.734, 0.743, 0.902], [0.812, 0.660, 0.487], [0.935, 0.927, 0.720], [0.065, 0.073, 0.280], [0.065, 0.573, 0.220], [0.188, 0.340, 0.513], [0.688, 0.160, 0.513], [0.312, 0.840, 0.487], [0.435, 0.573, 0.720], [0.188, 0.840, 0.987], [0.812, 0.160, 0.013], [0.312, 0.340, 0.013], [0.565, 0.927, 0.220], [0.565, 0.427, 0.280], [0.435, 0.073, 0.780], [0.688, 0.660, 0.987], [0.935, 0.427, 0.780], [0.106, 0.642, 0.627], [0.106, 0.142, 0.873], [0.606, 0.858, 0.627], [0.394, 0.142, 0.373], [0.894, 0.858, 0.127], [0.394, 0.642, 0.127], [0.606, 0.358, 0.873], [0.894, 0.358, 0.373]]
}

Record order is preserved below.
DFT total energy: -7.59 -5.55 -7.09 -7.39 -5.59 -6.44 eV per atom
Record order is preserved below.
Energy of formation from the pure elements: -2710 -1494 -2386 -2224 -2752 -1920 meV/atom